This record from the Materials Project database describes an optimized crystal structure of Na4H20RuS4N2O18. The functional is PBE-GGA.

Output
- Energy relative to the elements: -1.355 eV/atom

abc: 9.772 6.589 16.417
angles: 90.00 102.91 90.00
Space group P2_1/c (No. 14)
Symmetry-distinct sites (fractional):
Na  0.034  0.099  0.231 (multiplicity 4)
Na  0.396  0.190  0.698 (multiplicity 4)
H  0.059  0.128  0.052 (multiplicity 4)
H  0.082  0.140  0.954 (multiplicity 4)
H  0.210  0.217  0.032 (multiplicity 4)
H  0.290  0.508  0.410 (multiplicity 4)
H  0.305  0.673  0.047 (multiplicity 4)
H  0.324  0.545  0.792 (multiplicity 4)
H  0.337  0.638  0.705 (multiplicity 4)
H  0.350  0.068  0.839 (multiplicity 4)
H  0.399  0.108  0.523 (multiplicity 4)
H  0.479  0.186  0.050 (multiplicity 4)
Ru  0.000  0.000  0.500 (multiplicity 2)
S  0.135  0.597  0.134 (multiplicity 4)
S  0.159  0.630  0.926 (multiplicity 4)
N  0.102  0.212  0.011 (multiplicity 4)
O  0.069  0.727  0.669 (multiplicity 4)
O  0.122  0.655  0.398 (multiplicity 4)
O  0.156  0.077  0.697 (multiplicity 4)
O  0.188  0.510  0.855 (multiplicity 4)
O  0.287  0.666  0.133 (multiplicity 4)
O  0.315  0.649  0.985 (multiplicity 4)
O  0.376  0.054  0.899 (multiplicity 4)
O  0.380  0.536  0.749 (multiplicity 4)
O  0.406  0.223  0.562 (multiplicity 4)